1.
Below is a geometry-optimized BaNd2S4 structure, with properties calculated at the GGA-PBE level.

Piezoelectric modulus e_max in C/m²: 0.485
E in eV/f.u.: -42.26
Total energy after the MP2020 corrections in eV/atom: -6.324
Energy of formation from the pure elements in eV per formula unit: -16.3
Space-group type: I-42d (122)

Unit cell a=7.6785 b=7.6785 c=7.6785 alpha=109.46 beta=109.46 gamma=109.49
Last column: nearest neighbours and their distance in Å.
Fractional coordinates of all 14 atoms:
Ba  0.0000  0.0000  0.0000  8 S 3.08-3.24
Ba  0.7500  0.2500  0.5000  8 S 3.08-3.24
Nd  0.2535  0.6250  0.1285  6 S 2.87-3.03
Nd  0.3750  0.5035  0.6285  6 S 2.87-3.03
Nd  0.4965  0.1250  0.8715  6 S 2.87-3.03
Nd  0.8750  0.7465  0.3715  6 S 2.87-3.03
S  0.1426  0.7327  0.7453  3 Nd 2.87-3.03, 1 Ba 3.08
S  0.1473  0.2374  0.7547  3 Nd 2.87-3.03, 1 Ba 3.08
S  0.2673  0.0126  0.4099  3 Nd 2.87-3.03, 1 Ba 3.08
S  0.4827  0.3926  0.2453  3 Nd 2.87-3.03, 1 Ba 3.08
S  0.6027  0.8574  0.5901  3 Nd 2.87-3.03, 1 Ba 3.08
S  0.6074  0.8527  0.0901  3 Nd 2.87-3.03, 1 Ba 3.08
S  0.7626  0.5173  0.9099  3 Nd 2.87-3.03, 1 Ba 3.08
S  0.9874  0.3973  0.2547  3 Nd 2.87-3.03, 1 Ba 3.08

=====

2.
Below is a geometry-optimized BaNd2S4 structure, with properties calculated at the GGA-PBE level.

E in eV/f.u.: -42.62
Total energy after the MP2020 corrections in eV/atom: -6.376
Energy of formation from the pure elements in eV per formula unit: -16.6
Space-group type: Pnma (62)

Unit cell a=11.9514 b=4.2417 c=14.9653 alpha=90.00 beta=90.00 gamma=90.00
Last column: nearest neighbours and their distance in Å.
Fractional coordinates of all 28 atoms:
Ba  0.2363  0.2500  0.1576  8 S 3.19-3.42
Ba  0.2637  0.7500  0.6576  8 S 3.19-3.42
Ba  0.7363  0.2500  0.3424  8 S 3.19-3.42
Ba  0.7637  0.7500  0.8424  8 S 3.19-3.42
Nd  0.0615  0.7500  0.3906  6 S 2.77-2.95
Nd  0.1038  0.7500  0.9004  6 S 2.80-2.98
Nd  0.3962  0.2500  0.4004  6 S 2.80-2.98
Nd  0.4385  0.2500  0.8906  6 S 2.77-2.95
Nd  0.5615  0.7500  0.1094  6 S 2.77-2.95
Nd  0.6038  0.7500  0.5996  6 S 2.80-2.98
Nd  0.8962  0.2500  0.0996  6 S 2.80-2.98
Nd  0.9385  0.2500  0.6094  6 S 2.77-2.95
S  0.0038  0.7500  0.7181  3 Nd 2.78-2.98
S  0.0590  0.7500  0.0843  3 Nd 2.80-2.89
S  0.1471  0.2500  0.5093  3 Nd 2.91-2.95
S  0.2259  0.2500  0.8171  3 Nd 2.77-2.86
S  0.2741  0.7500  0.3171  3 Nd 2.77-2.86
S  0.3529  0.7500  0.0093  3 Nd 2.91-2.95
S  0.4410  0.2500  0.5843  3 Nd 2.80-2.89
S  0.4962  0.2500  0.2181  3 Nd 2.78-2.98
S  0.5038  0.7500  0.7819  3 Nd 2.78-2.98
S  0.5590  0.7500  0.4157  3 Nd 2.80-2.89
S  0.6471  0.2500  0.9907  3 Nd 2.91-2.95
S  0.7259  0.2500  0.6829  3 Nd 2.77-2.86
S  0.7741  0.7500  0.1829  3 Nd 2.77-2.86
S  0.8529  0.7500  0.4907  3 Nd 2.91-2.95
S  0.9410  0.2500  0.9157  3 Nd 2.80-2.89
S  0.9962  0.2500  0.2819  3 Nd 2.78-2.98

=====

3.
Below is a geometry-optimized BaNd2ZnS5 structure, with properties calculated at the GGA-PBE level.

E in eV/f.u.: -49.45
Total energy after the MP2020 corrections in eV/atom: -5.774
Energy of formation from the pure elements in eV per formula unit: -18.6
Space-group type: I4/mcm (140)

Unit cell a=8.8536 b=8.8536 c=8.8536 alpha=126.90 beta=126.90 gamma=78.42
Last column: nearest neighbours and their distance in Å.
Fractional coordinates of all 18 atoms:
Ba  0.2500  0.2500  0.0000  10 S 3.42-3.43
Ba  0.7500  0.7500  0.0000  10 S 3.42-3.43
Nd  0.1621  0.6621  0.8242  8 S 2.80-3.07
Nd  0.3379  0.1621  0.5000  8 S 2.80-3.07
Nd  0.6621  0.8379  0.5000  8 S 2.80-3.07
Nd  0.8379  0.3379  0.1758  8 S 2.80-3.07
Zn  0.2500  0.7500  0.5000  4 S 2.31
Zn  0.7500  0.2500  0.5000  4 S 2.31
S  0.0000  0.0000  0.0000  4 Nd 2.97
S  0.0153  0.2180  0.5000  1 Zn 2.31
S  0.2180  0.7180  0.2027  1 Zn 2.31
S  0.2820  0.4847  0.5000  1 Zn 2.31
S  0.4847  0.9847  0.2027  1 Zn 2.31
S  0.5000  0.5000  0.0000  4 Nd 2.97
S  0.5153  0.0153  0.7973  1 Zn 2.31
S  0.7180  0.5153  0.5000  1 Zn 2.31
S  0.7820  0.2820  0.7973  1 Zn 2.31
S  0.9847  0.7820  0.5000  1 Zn 2.31

=====

4.
Below is a geometry-optimized BaNi9P5 structure, with properties calculated at the GGA-PBE level.

E in eV/f.u.: -91.02
Energy of formation from the pure elements in eV per formula unit: -10.0
Space-group type: P6_3/mmc (194)

Unit cell a=6.5219 b=6.5219 c=10.8754 alpha=90.00 beta=90.00 gamma=120.00
Last column: nearest neighbours and their distance in Å.
Fractional coordinates of all 30 atoms:
Ba  0.0000  0.0000  0.0000  6 P 3.37, 18 Ni 3.49-3.56
Ba  0.0000  0.0000  0.5000  6 P 3.37, 18 Ni 3.49-3.56
Ni  0.0715  0.5357  0.1074  4 P 2.26-2.36, 1 Ni 2.47
Ni  0.0715  0.5357  0.3926  4 P 2.26-2.36, 1 Ni 2.47
Ni  0.2029  0.4057  0.7500  2 P 2.16
Ni  0.2029  0.7971  0.7500  2 P 2.16
Ni  0.4057  0.2029  0.2500  2 P 2.16
Ni  0.4643  0.5357  0.1074  4 P 2.26-2.36, 1 Ni 2.47
Ni  0.4643  0.5357  0.3926  4 P 2.26-2.36, 1 Ni 2.47
Ni  0.4643  0.9285  0.1074  4 P 2.26-2.36, 1 Ni 2.47
Ni  0.4643  0.9285  0.3926  4 P 2.26-2.36, 1 Ni 2.47
Ni  0.5357  0.0715  0.6074  4 P 2.26-2.36, 1 Ni 2.47
Ni  0.5357  0.0715  0.8926  4 P 2.26-2.36, 1 Ni 2.47
Ni  0.5357  0.4643  0.6074  4 P 2.26-2.36, 1 Ni 2.47
Ni  0.5357  0.4643  0.8926  4 P 2.26-2.36, 1 Ni 2.47
Ni  0.5943  0.7971  0.7500  2 P 2.16
Ni  0.7971  0.2029  0.2500  2 P 2.16
Ni  0.7971  0.5943  0.2500  2 P 2.16
Ni  0.9285  0.4643  0.6074  4 P 2.26-2.36, 1 Ni 2.47
Ni  0.9285  0.4643  0.8926  4 P 2.26-2.36, 1 Ni 2.47
P  0.1759  0.3517  0.2500  6 Ni 2.16-2.26
P  0.1759  0.8241  0.2500  6 Ni 2.16-2.26
P  0.3333  0.6667  0.5616  9 Ni 2.34-2.52
P  0.3333  0.6667  0.9384  9 Ni 2.34-2.52
P  0.3517  0.1759  0.7500  6 Ni 2.16-2.26
P  0.6483  0.8241  0.2500  6 Ni 2.16-2.26
P  0.6667  0.3333  0.0616  9 Ni 2.34-2.52
P  0.6667  0.3333  0.4384  9 Ni 2.34-2.52
P  0.8241  0.1759  0.7500  6 Ni 2.16-2.26
P  0.8241  0.6483  0.7500  6 Ni 2.16-2.26

=====

5.
Below is a geometry-optimized Ba6Ni25S27 structure, with properties calculated at the GGA-PBE level.

E in eV/f.u.: -308.31
Total energy after the MP2020 corrections in eV/atom: -5.550
Energy of formation from the pure elements in eV per formula unit: -54.2
Space-group type: Pm-3m (221)

Unit cell a=10.0617 b=10.0617 c=10.0617 alpha=90.00 beta=90.00 gamma=90.00
Last column: nearest neighbours and their distance in Å.
Fractional coordinates of all 58 atoms:
Ba  0.0000  0.0000  0.3049  9 S 3.07-3.29
Ba  0.0000  0.0000  0.6951  9 S 3.07-3.29
Ba  0.0000  0.3049  0.0000  9 S 3.07-3.29
Ba  0.0000  0.6951  0.0000  9 S 3.07-3.29
Ba  0.3049  0.0000  0.0000  9 S 3.07-3.29
Ba  0.6951  0.0000  0.0000  9 S 3.07-3.29
Ni  0.1407  0.3670  0.3670  4 S 2.21-2.25
Ni  0.1407  0.3670  0.6330  4 S 2.21-2.25
Ni  0.1407  0.6330  0.3670  4 S 2.21-2.25
Ni  0.1407  0.6330  0.6330  4 S 2.21-2.25
Ni  0.3670  0.1407  0.3670  4 S 2.21-2.25
Ni  0.3670  0.1407  0.6330  4 S 2.21-2.25
Ni  0.3670  0.3670  0.1407  4 S 2.21-2.25
Ni  0.3670  0.3670  0.8593  4 S 2.21-2.25
Ni  0.3670  0.6330  0.1407  4 S 2.21-2.25
Ni  0.3670  0.6330  0.8593  4 S 2.21-2.25
Ni  0.3670  0.8593  0.3670  4 S 2.21-2.25
Ni  0.3670  0.8593  0.6330  4 S 2.21-2.25
Ni  0.5000  0.5000  0.5000  6 S 2.40
Ni  0.6330  0.1407  0.3670  4 S 2.21-2.25
Ni  0.6330  0.1407  0.6330  4 S 2.21-2.25
Ni  0.6330  0.3670  0.1407  4 S 2.21-2.25
Ni  0.6330  0.3670  0.8593  4 S 2.21-2.25
Ni  0.6330  0.6330  0.1407  4 S 2.21-2.25
Ni  0.6330  0.6330  0.8593  4 S 2.21-2.25
Ni  0.6330  0.8593  0.3670  4 S 2.21-2.25
Ni  0.6330  0.8593  0.6330  4 S 2.21-2.25
Ni  0.8593  0.3670  0.3670  4 S 2.21-2.25
Ni  0.8593  0.3670  0.6330  4 S 2.21-2.25
Ni  0.8593  0.6330  0.3670  4 S 2.21-2.25
Ni  0.8593  0.6330  0.6330  4 S 2.21-2.25
S  0.0000  0.0000  0.0000  6 Ba 3.07
S  0.0000  0.2625  0.5000  4 Ni 2.21
S  0.0000  0.5000  0.2625  4 Ni 2.21
S  0.0000  0.5000  0.7375  4 Ni 2.21
S  0.0000  0.7375  0.5000  4 Ni 2.21
S  0.2235  0.2235  0.2235  3 Ni 2.21
S  0.2235  0.2235  0.7765  3 Ni 2.21
S  0.2235  0.7765  0.2235  3 Ni 2.21
S  0.2235  0.7765  0.7765  3 Ni 2.21
S  0.2615  0.5000  0.5000  5 Ni 2.25-2.40
S  0.2625  0.0000  0.5000  4 Ni 2.21
S  0.2625  0.5000  0.0000  4 Ni 2.21
S  0.5000  0.0000  0.2625  4 Ni 2.21
S  0.5000  0.0000  0.7375  4 Ni 2.21
S  0.5000  0.2615  0.5000  5 Ni 2.25-2.40
S  0.5000  0.2625  0.0000  4 Ni 2.21
S  0.5000  0.5000  0.2615  5 Ni 2.25-2.40
S  0.5000  0.5000  0.7385  5 Ni 2.25-2.40
S  0.5000  0.7375  0.0000  4 Ni 2.21
S  0.5000  0.7385  0.5000  5 Ni 2.25-2.40
S  0.7375  0.0000  0.5000  4 Ni 2.21
S  0.7375  0.5000  0.0000  4 Ni 2.21
S  0.7385  0.5000  0.5000  5 Ni 2.25-2.40
S  0.7765  0.2235  0.2235  3 Ni 2.21
S  0.7765  0.2235  0.7765  3 Ni 2.21
S  0.7765  0.7765  0.2235  3 Ni 2.21
S  0.7765  0.7765  0.7765  3 Ni 2.21

=====

6.
Below is a geometry-optimized Ba2Si3Ni structure, with properties calculated at the GGA-PBE level.

E in eV/f.u.: -28.72
Energy of formation from the pure elements in eV per formula unit: -2.8
Space-group type: P-62m (189)

Unit cell a=11.4605 b=11.4605 c=3.9234 alpha=90.00 beta=90.00 gamma=120.00
Last column: nearest neighbours and their distance in Å.
Fractional coordinates of all 18 atoms:
Ba  0.0000  0.2871  0.0000  1 Ni 3.29, 8 Si 3.34-3.47
Ba  0.0000  0.6182  0.0000  10 Si 3.55-3.70, 2 Ni 3.57, 5 Ba 3.79-3.95
Ba  0.2871  0.0000  0.0000  1 Ni 3.29, 8 Si 3.34-3.47
Ba  0.3818  0.3818  0.0000  10 Si 3.55-3.70, 2 Ni 3.57, 5 Ba 3.79-3.95
Ba  0.6182  0.0000  0.0000  10 Si 3.55-3.70, 2 Ni 3.57, 5 Ba 3.79-3.95
Ba  0.7129  0.7129  0.0000  1 Ni 3.29, 8 Si 3.34-3.47
Si  0.0000  0.8766  0.5000  2 Ni 2.42, 2 Si 2.45
Si  0.1234  0.1234  0.5000  2 Ni 2.42, 2 Si 2.45
Si  0.2203  0.5366  0.5000  2 Ni 2.41, 2 Si 2.43
Si  0.3163  0.7797  0.5000  2 Ni 2.41, 2 Si 2.43
Si  0.4634  0.6837  0.5000  2 Ni 2.41, 2 Si 2.43
Si  0.5366  0.2203  0.5000  2 Ni 2.41, 2 Si 2.43
Si  0.6837  0.4634  0.5000  2 Ni 2.41, 2 Si 2.43
Si  0.7797  0.3163  0.5000  2 Ni 2.41, 2 Si 2.43
Si  0.8766  0.0000  0.5000  2 Ni 2.42, 2 Si 2.45
Ni  0.0000  0.0000  0.0000  6 Si 2.42
Ni  0.3333  0.6667  0.0000  6 Si 2.41
Ni  0.6667  0.3333  0.0000  6 Si 2.41

=====

7.
Below is a geometry-optimized Ba8Si43Ni3 structure, with properties calculated at the GGA-PBE level.

E in eV/f.u.: -277.66
Energy of formation from the pure elements in eV per formula unit: -11.7
Space-group type: R32 (155)

Unit cell a=10.3816 b=10.3816 c=10.3816 alpha=89.99 beta=89.99 gamma=89.99
Last column: nearest neighbours and their distance in Å.
Fractional coordinates of all 54 atoms:
Ba  0.0000  0.2408  0.7592  14 Si 3.40-3.80, 2 Ni 3.60
Ba  0.2404  0.7596  0.5000  12 Si 3.40-3.74, 2 Ni 3.60
Ba  0.2408  0.7592  0.0000  14 Si 3.40-3.80, 2 Ni 3.60
Ba  0.2460  0.2460  0.2460  20 Si 3.24-3.60
Ba  0.5000  0.2404  0.7596  12 Si 3.40-3.74, 2 Ni 3.60
Ba  0.7540  0.7540  0.7540  20 Si 3.24-3.60
Ba  0.7592  0.0000  0.2408  14 Si 3.40-3.80, 2 Ni 3.60
Ba  0.7596  0.5000  0.2404  12 Si 3.40-3.74, 2 Ni 3.60
Si  0.0558  0.6339  0.7498  4 Si 2.41-2.57
Si  0.0658  0.0658  0.0658  4 Si 2.37-2.43
Si  0.0664  0.0659  0.4357  4 Si 2.36-2.43
Si  0.0659  0.4357  0.0664  4 Si 2.36-2.43
Si  0.0667  0.4361  0.4343  4 Si 2.35-2.43
Si  0.0677  0.8812  0.7498  1 Ni 2.26, 2 Si 2.43
Si  0.1188  0.9323  0.2502  1 Ni 2.26, 2 Si 2.43
Si  0.1216  0.5692  0.2500  1 Ni 2.26, 3 Si 2.43-2.51
Si  0.2502  0.1188  0.9323  1 Ni 2.26, 2 Si 2.43
Si  0.2500  0.1216  0.5692  1 Ni 2.26, 3 Si 2.43-2.51
Si  0.2499  0.3634  0.5567  4 Si 2.41-2.51
Si  0.2502  0.3661  0.9442  4 Si 2.41-2.57
Si  0.2499  0.5000  0.7501  4 Si 2.45-2.46
Si  0.3634  0.5567  0.2499  4 Si 2.41-2.51
Si  0.3661  0.9442  0.2502  4 Si 2.41-2.57
Si  0.4308  0.8784  0.7500  1 Ni 2.26, 3 Si 2.43-2.51
Si  0.4343  0.0667  0.4361  4 Si 2.35-2.43
Si  0.4344  0.4344  0.4344  4 Si 2.36-2.41
Si  0.4357  0.0664  0.0659  4 Si 2.36-2.43
Si  0.4361  0.4343  0.0667  4 Si 2.35-2.43
Si  0.4433  0.6366  0.7501  4 Si 2.41-2.51
Si  0.5000  0.7501  0.2499  4 Si 2.45-2.46
Si  0.5567  0.2499  0.3634  4 Si 2.41-2.51
Si  0.5639  0.9333  0.5657  4 Si 2.35-2.43
Si  0.5643  0.9341  0.9336  4 Si 2.36-2.43
Si  0.5657  0.5639  0.9333  4 Si 2.35-2.43
Si  0.5656  0.5656  0.5656  4 Si 2.36-2.41
Si  0.5692  0.2500  0.1216  1 Ni 2.26, 3 Si 2.43-2.51
Si  0.6339  0.7498  0.0558  4 Si 2.41-2.57
Si  0.6366  0.7501  0.4433  4 Si 2.41-2.51
Si  0.7498  0.0558  0.6339  4 Si 2.41-2.57
Si  0.7498  0.0677  0.8812  1 Ni 2.26, 2 Si 2.43
Si  0.7501  0.2499  0.5000  4 Si 2.45-2.46
Si  0.7500  0.4308  0.8784  1 Ni 2.26, 3 Si 2.43-2.51
Si  0.7501  0.4433  0.6366  4 Si 2.41-2.51
Si  0.8784  0.7500  0.4308  1 Ni 2.26, 3 Si 2.43-2.51
Si  0.8812  0.7498  0.0677  1 Ni 2.26, 2 Si 2.43
Si  0.9323  0.2502  0.1188  1 Ni 2.26, 2 Si 2.43
Si  0.9333  0.5657  0.5639  4 Si 2.35-2.43
Si  0.9336  0.5643  0.9341  4 Si 2.36-2.43
Si  0.9341  0.9336  0.5643  4 Si 2.36-2.43
Si  0.9342  0.9342  0.9342  4 Si 2.37-2.43
Si  0.9442  0.2502  0.3661  4 Si 2.41-2.57
Ni  0.0000  0.7503  0.2497  4 Si 2.26
Ni  0.2497  0.0000  0.7503  4 Si 2.26
Ni  0.7503  0.2497  0.0000  4 Si 2.26

=====

8.
Below is a geometry-optimized BaNpO4 structure, with properties calculated at the GGA-PBE level.

E in eV/f.u.: -52.70
Total energy after the MP2020 corrections in eV/atom: -9.242
Energy of formation from the pure elements in eV per formula unit: -20.8
Space-group type: Pbcm (57)

Unit cell a=5.8478 b=8.1907 c=8.2585 alpha=90.00 beta=90.00 gamma=90.00
Last column: nearest neighbours and their distance in Å.
Fractional coordinates of all 24 atoms:
Ba  0.0227  0.1973  0.2500  7 O 2.74-2.89
Ba  0.0227  0.3027  0.7500  7 O 2.74-2.89
Ba  0.9773  0.6973  0.2500  7 O 2.74-2.89
Ba  0.9773  0.8027  0.7500  7 O 2.74-2.89
Np  0.5000  0.0000  0.0000  2 O 1.91
Np  0.5000  0.0000  0.5000  2 O 1.91
Np  0.5000  0.5000  0.0000  2 O 1.91
Np  0.5000  0.5000  0.5000  2 O 1.91
O  0.2069  0.5747  0.5691  1 Np 1.91
O  0.2069  0.5747  0.9309  1 Np 1.91
O  0.2069  0.9253  0.0691  1 Np 1.91
O  0.2069  0.9253  0.4309  1 Np 1.91
O  0.3565  0.2500  0.0000  2 Np 2.21
O  0.3565  0.2500  0.5000  2 Np 2.21
O  0.3830  0.5245  0.2500  2 Np 2.18
O  0.3830  0.9755  0.7500  2 Np 2.18
O  0.6170  0.0245  0.2500  2 Np 2.18
O  0.6170  0.4755  0.7500  2 Np 2.18
O  0.6435  0.7500  0.0000  2 Np 2.21
O  0.6435  0.7500  0.5000  2 Np 2.21
O  0.7931  0.0747  0.5691  1 Np 1.91
O  0.7931  0.0747  0.9309  1 Np 1.91
O  0.7931  0.4253  0.0691  1 Np 1.91
O  0.7931  0.4253  0.4309  1 Np 1.91